Entry 1:
# Mg9Si5 PBE-GGA relaxed
# **Final energy**: -2.9105 eV/atom
# **SG**: No. 1
# **V**: 19.44 Å³ per atom
# **Energy relative to the elements**: 0.08 eV per atom
# **Density**: 2.2 Mg/m³
data_Mg9Si5
_cell_length_a 5.0467
_cell_length_b 7.8792
_cell_length_c 14.1202
_cell_angle_alpha 83.68
_cell_angle_beta 80.27
_cell_angle_gamma 80.75
_space_group_name_H-M_alt 'P 1'
_space_group_IT_number 1
loop_
_space_group_symop_operation_xyz
'x,y,z'
loop_
_atom_site_label
_atom_site_fract_x
_atom_site_fract_y
_atom_site_fract_z
Mg1 0.6547 0.5061 0.8381
Mg2 0.9813 0.9703 0.6613
Mg3 0.9648 0.5085 0.3752
Si1 0.2940 0.2705 0.7944
Si2 0.0047 0.7690 0.4994
Mg4 0.5032 0.6955 0.0111
Mg5 0.8727 0.9103 0.3197
Si3 0.2063 0.8692 0.1552
Si4 0.6139 0.3101 0.0233
Mg6 0.4545 0.9039 0.7970
Si5 0.4568 0.1800 0.6272
Si6 0.6941 0.6860 0.6513
Si7 0.9729 0.7992 0.9019
Si8 0.5219 0.3085 0.3696
Mg7 0.0781 0.4752 0.9901
Mg8 0.3887 0.4388 0.1919
Mg9 0.4398 0.5028 0.5289
Si9 0.3602 0.0736 0.2837
Mg10 0.9237 0.2441 0.1929
Mg11 0.8032 0.1382 0.8573
Mg12 0.2374 0.0899 0.9852
Si10 0.9030 0.6320 0.1791
Mg13 0.9095 0.3520 0.6461
Mg14 0.1709 0.6189 0.7364
Mg15 0.9671 0.1537 0.4620
Mg16 0.7120 0.9644 0.0987
Mg17 0.4356 0.7054 0.3225
Mg18 0.4747 0.9235 0.5008


Entry 2:
# K3CuC4N4 PBE-GGA relaxed
# **Final energy**: -6.7143 eV/atom
# **SG**: No. 161
# **V**: 20.18 Å³ per atom
# **Energy relative to the elements**: -0.36 eV per atom
# **Density**: 2.0 Mg/m³
data_K3CuC4N4
_cell_length_a 8.0774
_cell_length_b 8.0774
_cell_length_c 8.0774
_cell_angle_alpha 75.58
_cell_angle_beta 75.58
_cell_angle_gamma 75.58
_space_group_name_H-M_alt 'P 1'
_space_group_IT_number 1
loop_
_space_group_symop_operation_xyz
'x,y,z'
loop_
_atom_site_label
_atom_site_fract_x
_atom_site_fract_y
_atom_site_fract_z
Cu1 0.9987 0.9987 0.9987
C1 0.3651 0.5084 0.7337
K1 0.6666 0.0091 0.5007
Cu2 0.4987 0.4987 0.4987
K2 0.0007 0.5091 0.1666
N1 0.3769 0.0068 0.7819
N2 0.8151 0.8151 0.8151
K3 0.5091 0.1666 0.0007
N3 0.2819 0.5068 0.8769
N4 0.8769 0.2819 0.5068
C2 0.8651 0.2337 0.0084
C3 0.2337 0.0084 0.8651
C4 0.7337 0.3651 0.5084
N5 0.0068 0.7819 0.3769
N6 0.5068 0.8769 0.2819
K4 0.5007 0.6666 0.0091
C5 0.5084 0.7337 0.3651
K5 0.0091 0.5007 0.6666
N7 0.7819 0.3769 0.0068
C6 0.3842 0.3842 0.3842
C7 0.0084 0.8651 0.2337
N8 0.3151 0.3151 0.3151
C8 0.8842 0.8842 0.8842
K6 0.1666 0.0007 0.5091


Entry 3:
# Nb6Sn5 PBE-GGA relaxed
# **Final energy**: -7.4835 eV/atom
# **SG**: No. 71
# **V**: 20.47 Å³ per atom
# **Energy relative to the elements**: -0.15 eV per atom
# **Density**: 8.5 Mg/m³
data_Nb6Sn5
_cell_length_a 10.0952
_cell_length_b 10.0952
_cell_length_c 10.0952
_cell_angle_alpha 147.23
_cell_angle_beta 125.10
_cell_angle_gamma 65.43
_space_group_name_H-M_alt 'P 1'
_space_group_IT_number 1
loop_
_space_group_symop_operation_xyz
'x,y,z'
loop_
_atom_site_label
_atom_site_fract_x
_atom_site_fract_y
_atom_site_fract_z
Sn1 0.7058 0.2058 0.5000
Nb1 0.5000 0.5000 0.5000
Nb2 0.0000 0.0000 0.5000
Sn2 0.1684 0.1684 0.0000
Nb3 0.1873 0.9162 0.2711
Nb4 0.3462 0.3462 0.0000
Sn3 0.2970 0.6037 0.6933
Sn4 0.7030 0.3963 0.3067
Nb5 0.0000 0.2404 0.2404
Nb6 0.5000 0.0000 0.0000
Sn5 0.8316 0.8316 0.0000
Nb7 0.6450 0.9162 0.7289
Nb8 0.8127 0.0838 0.7289
Sn6 0.5000 0.2558 0.7558
Nb9 0.0000 0.7596 0.7596
Sn7 0.2942 0.7942 0.5000
Sn8 0.0897 0.3963 0.6933
Nb10 0.6538 0.6538 0.0000
Nb11 0.3550 0.0838 0.2711
Nb12 0.0000 0.5000 0.0000
Sn9 0.5000 0.7442 0.2442
Sn10 0.9103 0.6037 0.3067


Entry 4:
# K3BeF5 PBE-GGA relaxed
# **Final energy**: -4.8284 eV/atom
# **SG**: No. 140
# **V**: 16.03 Å³ per atom
# **Energy relative to the elements**: -3.24 eV per atom
# **Density**: 2.5 Mg/m³
data_K3BeF5
_cell_length_a 7.5028
_cell_length_b 7.5028
_cell_length_c 7.5028
_cell_angle_alpha 122.10
_cell_angle_beta 122.10
_cell_angle_gamma 86.40
_space_group_name_H-M_alt 'P 1'
_space_group_IT_number 1
loop_
_space_group_symop_operation_xyz
'x,y,z'
loop_
_atom_site_label
_atom_site_fract_x
_atom_site_fract_y
_atom_site_fract_z
F1 0.7879 0.2879 0.7460
F2 0.2121 0.7121 0.2540
Be1 0.7500 0.2500 0.5000
K1 0.6817 0.8183 0.5000
F3 0.7121 0.4581 0.5000
F4 0.5000 0.5000 0.0000
F5 0.4581 0.9581 0.7460
K2 0.8183 0.3183 0.1366
K3 0.1817 0.6817 0.8634
F6 0.0000 0.0000 0.0000
F7 0.5419 0.0419 0.2540
F8 0.0419 0.7879 0.5000
K4 0.7500 0.7500 0.0000
F9 0.9581 0.2121 0.5000
K5 0.3183 0.1817 0.5000
K6 0.2500 0.2500 0.0000
F10 0.2879 0.5419 0.5000
Be2 0.2500 0.7500 0.5000


Entry 5:
# Ti4Co PBE-GGA relaxed
# **Final energy**: -7.2454 eV/atom
# **SG**: No. 227
# **V**: 17.81 Å³ per atom
# **Energy relative to the elements**: 0.49 eV per atom
# **Density**: 4.7 Mg/m³
data_Ti4Co
_cell_length_a 6.3153
_cell_length_b 6.3153
_cell_length_c 6.3153
_cell_angle_alpha 60.00
_cell_angle_beta 60.00
_cell_angle_gamma 60.00
_space_group_name_H-M_alt 'P 1'
_space_group_IT_number 1
loop_
_space_group_symop_operation_xyz
'x,y,z'
loop_
_atom_site_label
_atom_site_fract_x
_atom_site_fract_y
_atom_site_fract_z
Ti1 0.1743 0.6086 0.6086
Co1 0.7500 0.7500 0.7500
Ti2 0.1414 0.5757 0.1414
Ti3 0.5757 0.1414 0.1414
Co2 0.0000 0.0000 0.0000
Ti4 0.6086 0.1743 0.6086
Ti5 0.6086 0.6086 0.1743
Ti6 0.1414 0.1414 0.1414
Ti7 0.1414 0.1414 0.5757
Ti8 0.6086 0.6086 0.6086


Entry 6:
# Y2AlZn PBE-GGA relaxed
# **Final energy**: -4.8911 eV/atom
# **SG**: No. 225
# **V**: 23.37 Å³ per atom
# **Energy relative to the elements**: -0.41 eV per atom
# **Density**: 4.8 Mg/m³
data_Y2AlZn
_cell_length_a 5.0939
_cell_length_b 5.0939
_cell_length_c 5.0939
_cell_angle_alpha 60.00
_cell_angle_beta 60.00
_cell_angle_gamma 60.00
_space_group_name_H-M_alt 'P 1'
_space_group_IT_number 1
loop_
_space_group_symop_operation_xyz
'x,y,z'
loop_
_atom_site_label
_atom_site_fract_x
_atom_site_fract_y
_atom_site_fract_z
Y1 0.2500 0.2500 0.2500
Zn1 0.0000 0.0000 0.0000
Y2 0.7500 0.7500 0.7500
Al1 0.5000 0.5000 0.5000


Entry 7:
# YCuPbS3 PBE-GGA relaxed
# **Final energy**: -5.5496 eV/atom
# **SG**: No. 63
# **V**: 21.97 Å³ per atom
# **Energy relative to the elements**: -1.35 eV per atom
# **Density**: 5.7 Mg/m³
data_YCuPbS3
_cell_length_a 6.8159
_cell_length_b 6.8159
_cell_length_c 10.2778
_cell_angle_alpha 90.00
_cell_angle_beta 90.00
_cell_angle_gamma 146.49
_space_group_name_H-M_alt 'P 1'
_space_group_IT_number 1
loop_
_space_group_symop_operation_xyz
'x,y,z'
loop_
_atom_site_label
_atom_site_fract_x
_atom_site_fract_y
_atom_site_fract_z
S1 0.5740 0.4260 0.2500
Y1 0.5000 0.5000 0.0000
Cu1 0.0342 0.9658 0.7500
S2 0.1384 0.8616 0.5682
S3 0.4260 0.5740 0.7500
Cu2 0.9658 0.0342 0.2500
S4 0.8616 0.1384 0.4318
Pb1 0.2515 0.7485 0.2500
Pb2 0.7485 0.2515 0.7500
Y2 0.5000 0.5000 0.5000
S5 0.1384 0.8616 0.9318
S6 0.8616 0.1384 0.0682


Entry 8:
# TaCo4Si PBE-GGA relaxed
# **Final energy**: -7.7398 eV/atom
# **SG**: No. 164
# **V**: 12.05 Å³ per atom
# **Energy relative to the elements**: -0.11 eV per atom
# **Density**: 10.2 Mg/m³
data_TaCo4Si
_cell_length_a 4.7465
_cell_length_b 4.7465
_cell_length_c 7.4136
_cell_angle_alpha 90.00
_cell_angle_beta 90.00
_cell_angle_gamma 120.00
_space_group_name_H-M_alt 'P 1'
_space_group_IT_number 1
loop_
_space_group_symop_operation_xyz
'x,y,z'
loop_
_atom_site_label
_atom_site_fract_x
_atom_site_fract_y
_atom_site_fract_z
Si1 0.6667 0.3333 0.9506
Co1 0.1700 0.3401 0.7563
Co2 0.6599 0.8300 0.7563
Co3 0.8300 0.1700 0.2437
Co4 0.3401 0.1700 0.2437
Co5 0.0000 0.0000 0.5000
Co6 0.1700 0.8300 0.7563
Si2 0.3333 0.6667 0.0494
Co7 0.8300 0.6599 0.2437
Ta1 0.6667 0.3333 0.5898
Co8 0.0000 0.0000 0.0000
Ta2 0.3333 0.6667 0.4102


Entry 9:
# AlNCl4 PBE-GGA relaxed
# **Final energy**: -3.2393 eV/atom
# **SG**: No. 62
# **V**: 33.38 Å³ per atom
# **Energy relative to the elements**: -0.40 eV per atom
# **Density**: 1.5 Mg/m³
data_AlNCl4
_cell_length_a 7.3191
_cell_length_b 9.5707
_cell_length_c 11.4350
_cell_angle_alpha 90.00
_cell_angle_beta 90.00
_cell_angle_gamma 90.00
_space_group_name_H-M_alt 'P 1'
_space_group_IT_number 1
loop_
_space_group_symop_operation_xyz
'x,y,z'
loop_
_atom_site_label
_atom_site_fract_x
_atom_site_fract_y
_atom_site_fract_z
Al1 0.7500 0.1902 0.9329
Cl1 0.5118 0.3208 0.9235
Cl2 0.2500 0.9218 0.9035
Cl3 0.4882 0.8208 0.5765
Cl4 0.7500 0.4481 0.2843
N1 0.7500 0.8251 0.3154
Cl5 0.0118 0.6792 0.0765
Cl6 0.7500 0.0519 0.7843
Cl7 0.2500 0.5519 0.7157
Cl8 0.5118 0.1792 0.4235
Al2 0.7500 0.3098 0.4329
Cl9 0.4882 0.6792 0.0765
N2 0.2500 0.1749 0.6846
Cl10 0.2500 0.5782 0.4035
Al3 0.2500 0.8098 0.0671
Cl11 0.9882 0.3208 0.9235
Al4 0.2500 0.6902 0.5671
Cl12 0.2500 0.9481 0.2157
Cl13 0.9882 0.1792 0.4235
Cl14 0.7500 0.4218 0.5965
Cl15 0.0118 0.8208 0.5765
N3 0.7500 0.6749 0.8154
Cl16 0.7500 0.0782 0.0965
N4 0.2500 0.3251 0.1846


Entry 10:
# Y2AlCd PBE-GGA relaxed
# **Final energy**: -4.7866 eV/atom
# **SG**: No. 225
# **V**: 25.04 Å³ per atom
# **Energy relative to the elements**: -0.39 eV per atom
# **Density**: 5.3 Mg/m³
data_Y2AlCd
_cell_length_a 5.2128
_cell_length_b 5.2128
_cell_length_c 5.2128
_cell_angle_alpha 60.00
_cell_angle_beta 60.00
_cell_angle_gamma 60.00
_space_group_name_H-M_alt 'P 1'
_space_group_IT_number 1
loop_
_space_group_symop_operation_xyz
'x,y,z'
loop_
_atom_site_label
_atom_site_fract_x
_atom_site_fract_y
_atom_site_fract_z
Al1 0.5000 0.5000 0.5000
Y1 0.7500 0.7500 0.7500
Y2 0.2500 0.2500 0.2500
Cd1 0.0000 0.0000 0.0000


Entry 11:
# Pr2IrRh PBE-GGA relaxed
# **Final energy**: -7.0125 eV/atom
# **SG**: No. 225
# **V**: 22.84 Å³ per atom
# **Energy relative to the elements**: -0.57 eV per atom
# **Density**: 10.5 Mg/m³
data_Pr2IrRh
_cell_length_a 5.0557
_cell_length_b 5.0557
_cell_length_c 5.0557
_cell_angle_alpha 60.00
_cell_angle_beta 60.00
_cell_angle_gamma 60.00
_space_group_name_H-M_alt 'P 1'
_space_group_IT_number 1
loop_
_space_group_symop_operation_xyz
'x,y,z'
loop_
_atom_site_label
_atom_site_fract_x
_atom_site_fract_y
_atom_site_fract_z
Pr1 0.7500 0.7500 0.7500
Pr2 0.2500 0.2500 0.2500
Rh1 0.0000 0.0000 0.0000
Ir1 0.5000 0.5000 0.5000


Entry 12:
# Ho2Ge2Ru PBE-GGA relaxed
# **Final energy**: -6.3379 eV/atom
# **SG**: No. 12
# **V**: 20.65 Å³ per atom
# **Energy relative to the elements**: -0.80 eV per atom
# **Density**: 9.3 Mg/m³
data_Ho2Ge2Ru
_cell_length_a 5.7816
_cell_length_b 5.7816
_cell_length_c 10.1712
_cell_angle_alpha 63.94
_cell_angle_beta 63.94
_cell_angle_gamma 43.58
_space_group_name_H-M_alt 'P 1'
_space_group_IT_number 1
loop_
_space_group_symop_operation_xyz
'x,y,z'
loop_
_atom_site_label
_atom_site_fract_x
_atom_site_fract_y
_atom_site_fract_z
Ho1 0.0010 0.0010 0.6722
Ru1 0.7286 0.7286 0.6272
Ho2 0.8162 0.8162 0.1100
Ge1 0.4881 0.4881 0.8754
Ho3 0.1838 0.1838 0.8900
Ge2 0.5119 0.5119 0.1246
Ho4 0.9990 0.9990 0.3278
Ge3 0.3550 0.3550 0.5674
Ge4 0.6450 0.6450 0.4326
Ru2 0.2714 0.2714 0.3728


Entry 13:
# KMg6Nb PBE-GGA relaxed
# **Final energy**: -2.2993 eV/atom
# **V**: 23.60 Å³ per atom
# **Energy relative to the elements**: 0.30 eV per atom
# **Density**: 2.4 Mg/m³
data_KMg6Nb
_cell_length_a 5.1309
_cell_length_b 6.5472
_cell_length_c 11.2384
_cell_angle_alpha 90.00
_cell_angle_beta 90.00
_cell_angle_gamma 90.00
_space_group_name_H-M_alt 'P 1'
_space_group_IT_number 1
loop_
_space_group_symop_operation_xyz
'x,y,z'
loop_
_atom_site_label
_atom_site_fract_x
_atom_site_fract_y
_atom_site_fract_z
Mg1 0.5000 0.2614 0.8322
Mg2 0.5000 0.0000 0.0960
Mg3 0.0000 0.5000 0.9229
K1 0.0000 0.0000 0.9173
K2 0.0000 0.5000 0.4173
Mg4 0.5000 0.7614 0.3322
Mg5 0.5000 0.2386 0.3322
Mg6 0.0000 0.7286 0.1582
Mg7 0.0000 0.2714 0.1582
Mg8 0.0000 0.0000 0.4229
Mg9 0.0000 0.2286 0.6582
Nb1 0.5000 0.0000 0.5832
Nb2 0.5000 0.5000 0.0832
Mg10 0.0000 0.7714 0.6582
Mg11 0.5000 0.5000 0.5960
Mg12 0.5000 0.7386 0.8322


Entry 14:
# Th3Bi4 PBE-GGA relaxed
# **Final energy**: -6.0226 eV/atom
# **SG**: No. 220
# **V**: 32.33 Å³ per atom
# **Energy relative to the elements**: -0.62 eV per atom
# **Density**: 11.2 Mg/m³
data_Th3Bi4
_cell_length_a 8.3777
_cell_length_b 8.3777
_cell_length_c 8.3777
_cell_angle_alpha 109.47
_cell_angle_beta 109.47
_cell_angle_gamma 109.47
_space_group_name_H-M_alt 'P 1'
_space_group_IT_number 1
loop_
_space_group_symop_operation_xyz
'x,y,z'
loop_
_atom_site_label
_atom_site_fract_x
_atom_site_fract_y
_atom_site_fract_z
Bi1 0.6593 0.6593 0.6593
Bi2 0.5000 0.0000 0.3407
Bi3 0.0000 0.3407 0.5000
Th1 0.8750 0.1250 0.7500
Bi4 0.8407 0.5000 0.0000
Th2 0.1250 0.7500 0.8750
Th3 0.7500 0.8750 0.1250
Th4 0.3750 0.2500 0.6250
Bi5 0.3407 0.5000 0.0000
Bi6 0.1593 0.1593 0.1593
Bi7 0.0000 0.8407 0.5000
Bi8 0.5000 0.0000 0.8407
Th5 0.6250 0.3750 0.2500
Th6 0.2500 0.6250 0.3750